Record 1
! Gd2Al9Rh3 | the Materials Project | PBE-GGA | optimized geometry; values from VASP
&SYSTEM
  ibrav = 0, nat = 28, ntyp = 3
/
ATOMIC_SPECIES
Gd 157.25 Gd.upf
Al 26.98 Al.upf
Rh 102.91 Rh.upf
CELL_PARAMETERS angstrom
6.529 -3.809 0.000
6.529 3.809 0.000
0.000 0.000 9.512
ATOMIC_POSITIONS crystal
Gd 0.004 0.669 0.750
Gd 0.331 0.996 0.750
Gd 0.669 0.004 0.250
Gd 0.996 0.331 0.250
Al 0.002 0.666 0.073
Al 0.002 0.666 0.427
Al 0.126 0.874 0.250
Al 0.334 0.666 0.553
Al 0.334 0.666 0.947
Al 0.334 0.998 0.073
Al 0.334 0.998 0.427
Al 0.337 0.453 0.250
Al 0.453 0.337 0.750
Al 0.547 0.663 0.250
Al 0.663 0.547 0.750
Al 0.666 0.002 0.573
Al 0.666 0.002 0.927
Al 0.666 0.334 0.053
Al 0.666 0.334 0.447
Al 0.874 0.126 0.750
Al 0.998 0.334 0.573
Al 0.998 0.334 0.927
Rh 0.000 0.000 0.000
Rh 0.000 0.000 0.500
Rh 0.328 0.328 0.000
Rh 0.328 0.328 0.500
Rh 0.672 0.672 0.000
Rh 0.672 0.672 0.500
! Crystal system: orthorhombic
! Energy of formation from the pure elements: -19.08 kcal/mol of atoms
! Space-group type: Cmcm
! Electronic total energy: -95.5 eV/f.u.

***

Record 2
! GdAlRh | the Materials Project | PBE-GGA | optimized geometry; values from VASP
&SYSTEM
  ibrav = 0, nat = 12, ntyp = 3
/
ATOMIC_SPECIES
Gd 157.25 Gd.upf
Al 26.98 Al.upf
Rh 102.91 Rh.upf
CELL_PARAMETERS angstrom
6.992 0.000 0.000
0.000 4.225 0.000
0.000 0.000 7.961
ATOMIC_POSITIONS crystal
Gd 0.039 0.250 0.181
Gd 0.461 0.750 0.681
Gd 0.539 0.250 0.319
Gd 0.961 0.750 0.819
Al 0.135 0.250 0.562
Al 0.365 0.750 0.062
Al 0.635 0.250 0.938
Al 0.865 0.750 0.438
Rh 0.233 0.750 0.383
Rh 0.267 0.250 0.883
Rh 0.733 0.750 0.117
Rh 0.767 0.250 0.617
! Crystal system: orthorhombic
! Energy of formation from the pure elements: -20.62 kcal/mol of atoms
! Space-group type: Pnma
! Electronic total energy: -27.9 eV/f.u.

***

Record 3
! GdYAl4 | the Materials Project | PBE-GGA | optimized geometry; values from VASP
&SYSTEM
  ibrav = 0, nat = 6, ntyp = 3
/
ATOMIC_SPECIES
Gd 157.25 Gd.upf
Y 88.91 Y.upf
Al 26.98 Al.upf
CELL_PARAMETERS angstrom
0.000 3.948 3.948
3.948 0.000 3.948
3.948 3.948 0.000
ATOMIC_POSITIONS crystal
Gd 0.000 0.000 0.000
Y 0.250 0.250 0.250
Al 0.125 0.625 0.625
Al 0.625 0.125 0.625
Al 0.625 0.625 0.125
Al 0.625 0.625 0.625
! Crystal system: cubic
! Energy of formation from the pure elements: -12.18 kcal/mol of atoms
! Space-group type: F-43m
! Electronic total energy: -38.7 eV/f.u.

***

Record 4
! GdAlZn | the Materials Project | PBE-GGA | optimized geometry; values from VASP
&SYSTEM
  ibrav = 0, nat = 6, ntyp = 3
/
ATOMIC_SPECIES
Gd 157.25 Gd.upf
Al 26.98 Al.upf
Zn 65.41 Zn.upf
CELL_PARAMETERS angstrom
4.523 0.000 0.000
-2.262 3.917 0.000
0.000 0.000 7.221
ATOMIC_POSITIONS crystal
Gd 0.000 0.000 0.000
Gd 0.000 0.000 0.500
Al 0.333 0.667 0.250
Al 0.667 0.333 0.750
Zn 0.333 0.667 0.750
Zn 0.667 0.333 0.250
! Crystal system: hexagonal
! Energy of formation from the pure elements: -10.39 kcal/mol of atoms
! Space-group type: P6_3/mmc
! Electronic total energy: -20.4 eV/f.u.

***

Question: Number 1 is which compound?
Answer: Gd2Al9Rh3